Record 1
Entry from Materials Project: crystalline KEuTiO4 at its relaxed geometry (PBE).

Summary:
* E_form: -3.10 eV/atom

Unit cell a=13.3303 b=5.5420 c=5.4610 alpha=90.00 beta=90.00 gamma=90.00
Closest atoms and distances in Å follow each position.
Space group Pbcm (No. 57)
Inequivalent atoms, fractional coordinates:
K: 0.0958 0.0180 0.2500 x4  7 O 2.74-2.99
Eu: 0.3979 0.0235 0.2500 x4  6 O 2.27-2.51
Ti: 0.2527 0.5072 0.2500 x4  1 O 1.77
O: 0.1204 0.5263 0.2500 x4  1 Ti 1.77
O: 0.2708 0.2500 0.0000 x4  2 Ti 1.99
O: 0.2938 0.7500 0.0000 x4  2 Ti 1.99
O: 0.4358 0.0632 0.7500 x4  2 Eu 2.27-2.35, 1 Ti 2.47

=====

Record 2
Entry from Materials Project: crystalline KEuZr2O6 at its relaxed geometry (PBE).

Summary:
* E_form: -3.25 eV/atom

Unit cell a=8.3814 b=8.3814 c=8.3814 alpha=90.00 beta=90.00 gamma=90.00
Closest atoms and distances in Å follow each position.
Space group Fm-3m (No. 225)
Inequivalent atoms, fractional coordinates:
K: 0.0000 0.0000 0.0000 x4  12 O 2.96
Eu: 0.0000 0.0000 0.5000 x4  12 O 2.96
Zr: 0.2500 0.2500 0.2500 x8  6 O 2.10
O: 0.0000 0.2500 0.2500 x24  2 Zr 2.10